An optimized crystal structure of KPrSiSe4. Source: the Materials Project database, functional GGA-PBE.

Cell lengths 6.870, 7.082, 9.179 Å; angles 90.00, 107.58, 90.00 degrees
Space group P2_1 (No. 4)
One atom of each set of equivalent atoms:
K: 0.238 0.000 0.435 [2 per cell]
Pr: 0.271 0.011 0.950 [2 per cell]
Si: 0.282 0.477 0.179 [2 per cell]
Se: 0.085 0.475 0.338 [2 per cell]
Se: 0.089 0.427 0.930 [2 per cell]
Se: 0.475 0.743 0.770 [2 per cell]
Se: 0.479 0.746 0.213 [2 per cell]

Summary:
M_tot (μB/cell): 0.000
Calculated formation energy (eV/atom): -1.5146
Largest piezoelectric modulus (C/m2): 0.45
VASP energy (eV for the cell shown): -68.0

---

An optimized crystal structure of LiNdTi2O6. Source: the Materials Project database, functional GGA-PBE.

Cell lengths 5.387, 5.387, 7.919 Å; angles 90.00, 90.00, 90.00 degrees
Space group P4/nbm (No. 125, origin choice 2)
One atom of each set of equivalent atoms:
Li: 0.250 0.750 0.000 [2 per cell]
Nd: 0.250 0.750 0.500 [2 per cell]
Ti: 0.250 0.250 0.236 [4 per cell]
O: 0.056 0.556 0.258 [8 per cell]
O: 0.250 0.250 0.000 [2 per cell]
O: 0.250 0.250 0.500 [2 per cell]

Summary:
Polymorph energy (0 for the lowest one) (meV/atom): 66
M_tot (μB/cell): 0.000
Calculated formation energy (eV/atom): -3.3989
VASP energy (eV for the cell shown): -164.0

---

An optimized crystal structure of Ba2Si3Au. Source: the Materials Project database, functional GGA-PBE.

Cell lengths 4.3238, 4.3238, 10.0396 Å; angles 90.00, 90.00, 120.00 degrees
Space group P-6m2 (No. 187)
One atom of each set of equivalent atoms:
Ba: 0.0000 0.0000 0.2468 [2 per cell]
Si: 0.3333 0.6667 0.5000 [1 per cell]
Si: 0.6667 0.3333 0.0000 [1 per cell]
Si: 0.6667 0.3333 0.5000 [1 per cell]
Au: 0.3333 0.6667 0.0000 [1 per cell]

Summary:
Calculated formation energy (eV/atom): -0.4400
VASP energy (eV for the cell shown): -26.0

---

An optimized crystal structure of CaEuS2. Source: the Materials Project database, functional GGA-PBE.

Cell lengths 4.117, 4.117, 5.832 Å; angles 90.00, 90.00, 90.00 degrees
Space group P4/mmm (No. 123)
One atom of each set of equivalent atoms:
Ca: 0.000 0.000 0.000 [1 per cell]
Eu: 0.500 0.500 0.500 [1 per cell]
S: 0.000 0.000 0.500 [1 per cell]
S: 0.500 0.500 0.000 [1 per cell]

Summary:
Calculated formation energy (eV/atom): -2.3878
VASP energy (eV for the cell shown): -29.1